Entry 1:
! Li2Mn3B3O9, optimized geometry, DFT GGA+U; values from VASP
! DFT formation energy: -2.448 eV/atom
! Energy: -7.43 eV/atom
! Offset from the most stable computed form: 14 meV/atom
&SYSTEM
  ibrav = 0, nat = 34, ntyp = 4
/
ATOMIC_SPECIES
O 16.00 O.upf
Li 6.94 Li.upf
B 10.81 B.upf
Mn 54.94 Mn.upf
CELL_PARAMETERS angstrom
-4.586 3.672 1.672
2.434 -2.292 7.151
6.375 5.122 -4.018
ATOMIC_POSITIONS crystal
O 0.670 0.341 0.352
Li 0.565 0.875 0.055
B 0.602 0.854 0.389
O 0.373 0.034 0.700
Mn 0.053 0.807 0.588
O 0.766 0.926 0.557
Mn 0.718 0.467 0.940
B 0.398 0.146 0.611
O 0.449 0.603 0.903
O 0.901 0.742 0.758
O 0.745 0.043 0.995
O 0.551 0.397 0.097
O 0.092 0.391 0.658
O 0.908 0.609 0.342
B 0.290 0.544 0.730
O 0.576 0.312 0.683
B 0.063 0.795 0.924
O 0.627 0.966 0.300
O 0.255 0.957 0.005
Li 0.784 0.454 0.619
O 0.968 0.327 0.999
Mn 0.947 0.193 0.412
O 0.032 0.673 0.001
Mn 0.642 0.888 0.733
O 0.424 0.688 0.317
O 0.330 0.659 0.648
B 0.710 0.456 0.270
Mn 0.358 0.112 0.267
O 0.234 0.074 0.443
O 0.099 0.258 0.242
Li 0.435 0.125 0.945
B 0.937 0.205 0.076
Mn 0.282 0.533 0.060
Li 0.216 0.546 0.381

Entry 2:
! Li5Mn6B6O18, optimized geometry, DFT GGA+U; values from VASP
! DFT formation energy: -2.480 eV/atom
! Energy: -7.37 eV/atom
! Offset from the most stable computed form: 2 meV/atom
&SYSTEM
  ibrav = 0, nat = 35, ntyp = 4
/
ATOMIC_SPECIES
Li 6.94 Li.upf
B 10.81 B.upf
Mn 54.94 Mn.upf
O 16.00 O.upf
CELL_PARAMETERS angstrom
5.264 0.000 0.000
-2.605 5.614 0.000
-0.249 -1.171 12.873
ATOMIC_POSITIONS crystal
Li 0.811 0.936 0.253
Li 0.481 0.271 0.591
Li 0.194 0.063 0.748
B 0.292 0.231 0.977
Mn 0.062 0.774 0.533
O 0.109 0.576 0.399
Mn 0.394 0.441 0.200
Mn 0.747 0.118 0.866
B 0.622 0.902 0.644
Mn 0.267 0.891 0.128
O 0.898 0.426 0.599
O 0.385 0.944 0.649
Li 0.864 0.414 0.070
O 0.043 0.254 0.982
O 0.057 0.535 0.212
O 0.404 0.208 0.882
Mn 0.943 0.230 0.464
O 0.595 0.815 0.931
O 0.881 0.399 0.781
O 0.444 0.243 0.068
O 0.602 0.804 0.119
O 0.725 0.868 0.549
B 0.376 0.096 0.357
B 0.027 0.407 0.691
O 0.772 0.906 0.736
O 0.278 0.133 0.453
Mn 0.600 0.561 0.811
B 0.720 0.788 0.025
Li 0.523 0.734 0.412
O 0.615 0.055 0.352
O 0.277 0.386 0.691
O 0.721 0.614 0.314
B 0.959 0.572 0.307
O 0.938 0.726 0.019
O 0.226 0.090 0.266

Entry 3:
! LiMn2B2O6, optimized geometry, DFT GGA+U; values from VASP
! DFT formation energy: -2.421 eV/atom
! Energy: -7.50 eV/atom
! Offset from the most stable computed form: 11 meV/atom
&SYSTEM
  ibrav = 0, nat = 66, ntyp = 4
/
ATOMIC_SPECIES
O 16.00 O.upf
B 10.81 B.upf
Li 6.94 Li.upf
Mn 54.94 Mn.upf
CELL_PARAMETERS angstrom
-8.938 0.300 -1.638
2.946 -1.353 8.563
0.110 10.288 1.285
ATOMIC_POSITIONS crystal
O 0.843 0.231 0.152
B 0.450 0.400 0.129
Li 0.763 0.396 0.163
Mn 0.236 0.935 0.383
O 0.852 0.975 0.154
O 0.372 0.378 0.425
Mn 0.901 0.612 0.885
O 0.362 0.985 0.957
Mn 0.773 0.044 0.627
Mn 0.099 0.718 0.631
O 0.594 0.968 0.094
B 0.762 0.056 0.132
O 0.495 0.705 0.851
Li 0.902 0.976 0.348
O 0.187 0.868 0.196
B 0.450 0.046 0.622
Li 0.420 0.716 0.170
O 0.872 0.884 0.617
O 0.127 0.340 0.308
O 0.186 0.071 0.844
O 0.137 0.790 0.826
Mn 0.251 0.316 0.873
O 0.803 0.095 0.833
B 0.565 0.610 0.878
Mn 0.424 0.053 0.137
O 0.490 0.442 0.828
O 0.544 0.215 0.622
O 0.714 0.665 0.951
O 0.480 0.047 0.329
O 0.281 0.964 0.572
O 0.181 0.607 0.135
Li 0.099 0.046 0.670
Mn 0.448 0.374 0.620
Li 0.433 0.703 0.669
B 0.887 0.259 0.874
O 0.201 0.562 0.632
O 0.523 0.303 0.137
O 0.487 0.789 0.352
O 0.811 0.469 0.346
B 0.567 0.958 0.366
Mn 0.786 0.737 0.131
O 0.296 0.344 0.063
Mn 0.555 0.948 0.883
Mn 0.895 0.308 0.391
O 0.815 0.732 0.324
O 0.041 0.722 0.435
O 0.835 0.612 0.671
B 0.112 0.394 0.636
B 0.215 0.269 0.370
B 0.105 0.701 0.143
O 0.831 0.368 0.854
O 0.048 0.320 0.937
O 0.143 0.101 0.381
Mn 0.551 0.608 0.379
O 0.938 0.638 0.096
O 0.730 0.050 0.415
O 0.510 0.945 0.670
O 0.607 0.631 0.570
B 0.224 0.953 0.876
Mn 0.088 0.346 0.123
B 0.890 0.635 0.368
B 0.777 0.714 0.621
O 0.188 0.301 0.686
O 0.946 0.303 0.591
O 0.522 0.562 0.185
Li 0.769 0.368 0.675

Entry 4:
! LiMn2B2O6, optimized geometry, DFT GGA+U; values from VASP
! DFT formation energy: -2.418 eV/atom
! Energy: -7.49 eV/atom
! Offset from the most stable computed form: 14 meV/atom
&SYSTEM
  ibrav = 0, nat = 33, ntyp = 4
/
ATOMIC_SPECIES
Li 6.94 Li.upf
O 16.00 O.upf
B 10.81 B.upf
Mn 54.94 Mn.upf
CELL_PARAMETERS angstrom
5.306 0.000 0.000
0.321 6.065 0.000
2.286 1.239 11.536
ATOMIC_POSITIONS crystal
Li 0.193 0.460 0.800
Li 0.806 0.534 0.198
O 0.011 0.652 0.316
B 0.587 0.929 0.671
O 0.103 0.205 0.914
Mn 0.687 0.702 0.454
O 0.979 0.272 0.115
O 0.640 0.911 0.784
O 0.660 0.023 0.348
O 0.343 0.077 0.223
Mn 0.984 0.960 0.211
B 0.925 0.269 0.002
O 0.682 0.356 0.987
B 0.411 0.085 0.331
B 0.742 0.412 0.665
Mn 0.648 0.628 0.880
Mn 0.015 0.034 0.787
B 0.257 0.579 0.335
B 0.076 0.729 0.996
O 0.897 0.793 0.085
O 0.768 0.876 0.580
O 0.221 0.145 0.421
O 0.347 0.026 0.657
O 0.554 0.484 0.750
O 0.323 0.653 0.008
Li 0.856 0.129 0.467
Mn 0.314 0.293 0.547
O 0.447 0.519 0.248
O 0.013 0.714 0.886
O 0.680 0.382 0.557
O 0.313 0.579 0.448
O 0.992 0.357 0.681
Mn 0.357 0.368 0.116

Entry 5:
! Li2Mn3B3O9, optimized geometry, DFT GGA+U; values from VASP
! DFT formation energy: -2.429 eV/atom
! Energy: -7.41 eV/atom
! Offset from the most stable computed form: 34 meV/atom
&SYSTEM
  ibrav = 0, nat = 68, ntyp = 4
/
ATOMIC_SPECIES
O 16.00 O.upf
B 10.81 B.upf
Mn 54.94 Mn.upf
Li 6.94 Li.upf
CELL_PARAMETERS angstrom
-3.028 3.885 3.999
-0.092 -3.451 8.150
12.194 6.675 3.217
ATOMIC_POSITIONS crystal
O 0.991 0.530 0.257
O 0.068 0.348 0.789
O 0.934 0.639 0.779
O 0.744 0.020 0.763
O 0.794 0.362 0.450
B 0.251 0.496 0.503
Mn 0.168 0.669 0.320
Mn 0.691 0.626 0.002
Mn 0.411 0.161 0.826
Li 0.575 0.344 0.361
O 0.162 0.645 0.461
O 0.499 0.518 0.266
O 0.404 0.138 0.967
B 0.753 0.499 0.503
B 0.756 0.000 0.331
O 0.692 0.142 0.276
O 0.166 0.142 0.609
B 0.238 0.011 0.670
O 0.168 0.125 0.259
O 0.697 0.647 0.461
B 0.519 0.493 0.831
O 0.000 0.005 0.098
B 0.001 0.499 0.832
Mn 0.923 0.138 0.501
O 0.054 0.350 0.126
B 0.236 0.001 0.327
O 0.841 0.851 0.626
O 0.042 0.861 0.954
B 0.994 0.004 0.999
B 0.754 0.004 0.665
Mn 0.668 0.675 0.320
B 0.986 0.507 0.163
O 0.511 0.530 0.925
O 0.678 0.140 0.608
Mn 0.894 0.208 0.186
Li 0.066 0.369 0.649
O 0.211 0.038 0.421
Li 0.095 0.284 0.991
O 0.336 0.358 0.451
Li 0.306 0.871 0.153
O 0.450 0.607 0.763
O 0.007 0.505 0.929
Li 0.824 0.868 0.146
Li 0.562 0.374 0.651
Mn 0.661 0.696 0.679
O 0.516 0.972 0.104
B 0.503 0.987 0.006
O 0.427 0.631 0.110
B 0.507 0.500 0.170
O 0.345 0.858 0.638
Li 0.837 0.840 0.860
Mn 0.419 0.130 0.500
Mn 0.909 0.176 0.811
O 0.835 0.852 0.288
O 0.331 0.845 0.295
O 0.936 0.148 0.949
Li 0.859 0.791 0.492
O 0.589 0.852 0.951
Mn 0.167 0.697 0.677
Mn 0.196 0.633 0.998
O 0.603 0.345 0.133
O 0.733 0.013 0.427
O 0.767 0.485 0.601
Mn 0.404 0.193 0.169
O 0.596 0.331 0.803
O 0.203 0.033 0.767
O 0.912 0.638 0.101
O 0.258 0.485 0.601

Entry 6:
! Li2Mn3B3O9, optimized geometry, DFT GGA+U; values from VASP
! DFT formation energy: -2.455 eV/atom
! Energy: -7.44 eV/atom
! Offset from the most stable computed form: 7 meV/atom
&SYSTEM
  ibrav = 0, nat = 34, ntyp = 4
/
ATOMIC_SPECIES
O 16.00 O.upf
B 10.81 B.upf
Li 6.94 Li.upf
Mn 54.94 Mn.upf
CELL_PARAMETERS angstrom
5.291 0.000 0.000
0.285 6.184 0.000
2.262 1.020 11.523
ATOMIC_POSITIONS crystal
O 0.303 0.617 0.448
O 0.551 0.481 0.748
B 0.745 0.408 0.664
Li 0.156 0.855 0.540
O 0.888 0.815 0.084
O 0.972 0.241 0.119
O 0.433 0.540 0.248
Li 0.522 0.788 0.132
Li 0.187 0.460 0.802
Mn 0.303 0.303 0.551
O 0.101 0.209 0.914
Li 0.839 0.141 0.458
O 0.347 0.045 0.220
B 0.408 0.072 0.330
Mn 0.692 0.690 0.447
O 0.661 0.028 0.343
Mn 0.981 0.964 0.211
B 0.256 0.613 0.335
O 0.991 0.357 0.686
O 0.012 0.708 0.891
O 0.684 0.367 0.990
B 0.920 0.265 0.004
O 0.327 0.688 0.013
Mn 0.350 0.364 0.120
O 0.655 0.900 0.780
O 0.217 0.124 0.421
O 0.340 0.968 0.654
B 0.077 0.741 0.998
Mn 0.024 0.028 0.789
Mn 0.649 0.625 0.879
O 0.782 0.875 0.575
O 0.692 0.381 0.554
B 0.589 0.909 0.669
O 0.014 0.701 0.316

Entry 7:
! Li5Mn6B6O18, optimized geometry, DFT GGA+U; values from VASP
! DFT formation energy: -2.481 eV/atom
! Energy: -7.38 eV/atom
! Offset from the most stable computed form: 1 meV/atom
&SYSTEM
  ibrav = 0, nat = 35, ntyp = 4
/
ATOMIC_SPECIES
O 16.00 O.upf
Mn 54.94 Mn.upf
B 10.81 B.upf
Li 6.94 Li.upf
CELL_PARAMETERS angstrom
-3.110 -0.432 4.248
-0.209 -6.198 -0.484
7.998 -1.825 8.495
ATOMIC_POSITIONS crystal
O 0.023 0.713 0.888
O 0.987 0.235 0.115
O 0.881 0.817 0.081
Mn 0.982 0.963 0.210
B 0.592 0.928 0.668
B 0.742 0.404 0.664
B 0.925 0.244 0.003
O 0.345 0.043 0.223
O 0.659 0.025 0.345
O 0.302 0.619 0.449
O 0.322 0.689 0.021
B 0.077 0.741 0.998
O 0.017 0.705 0.316
O 0.677 0.305 0.987
O 0.438 0.543 0.250
O 0.691 0.383 0.553
O 0.342 0.971 0.648
O 0.645 0.950 0.778
Mn 0.300 0.310 0.549
B 0.256 0.617 0.336
B 0.406 0.070 0.332
O 0.990 0.362 0.685
O 0.544 0.457 0.753
Mn 0.693 0.690 0.447
Li 0.520 0.791 0.137
O 0.121 0.209 0.910
Mn 0.033 0.022 0.783
Mn 0.634 0.639 0.884
Mn 0.360 0.361 0.123
Li 0.838 0.139 0.459
O 0.786 0.875 0.578
Li 0.171 0.474 0.797
Li 0.496 0.191 0.872
O 0.214 0.124 0.422
Li 0.156 0.859 0.538

Entry 8:
! Li2Mn3B3O9, optimized geometry, DFT GGA+U; values from VASP
! DFT formation energy: -2.450 eV/atom
! Energy: -7.43 eV/atom
! Offset from the most stable computed form: 12 meV/atom
&SYSTEM
  ibrav = 0, nat = 34, ntyp = 4
/
ATOMIC_SPECIES
B 10.81 B.upf
Li 6.94 Li.upf
Mn 54.94 Mn.upf
O 16.00 O.upf
CELL_PARAMETERS angstrom
5.856 0.000 0.000
-1.688 8.085 0.000
-1.955 -4.035 7.950
ATOMIC_POSITIONS crystal
B 0.048 0.786 0.788
Li 0.109 0.781 0.104
Li 0.239 0.556 0.561
Mn 0.068 0.820 0.475
O 0.390 0.729 0.481
B 0.621 0.871 0.568
B 0.379 0.129 0.432
Mn 0.932 0.180 0.525
Mn 0.398 0.149 0.116
O 0.399 0.566 0.777
Li 0.761 0.444 0.439
Mn 0.695 0.449 0.778
B 0.256 0.521 0.871
O 0.241 0.092 0.530
O 0.601 0.434 0.223
B 0.952 0.214 0.212
O 0.295 0.032 0.264
O 0.036 0.373 0.783
O 0.896 0.746 0.879
O 0.278 0.921 0.879
Mn 0.305 0.551 0.222
O 0.610 0.271 0.519
O 0.964 0.627 0.217
B 0.744 0.479 0.129
O 0.722 0.079 0.121
O 0.671 0.370 0.960
O 0.329 0.630 0.040
O 0.104 0.254 0.121
O 0.759 0.908 0.470
O 0.705 0.968 0.736
Mn 0.602 0.851 0.884
Li 0.891 0.219 0.896
O 0.981 0.681 0.616
O 0.019 0.319 0.384